A relaxed Mn3Fe3Co2O16 crystal, computed with GGA+U.

Properties
ΔH_f (0 K)	-1.35	eV/atom
E_tot	-305.224	eV for the cell shown
total magnetization	0.8750	μB/atom

```
data_Mn3Fe3Co2O16
_chemical_formula_sum 'Mn6 Fe6 Co4 O32'
_cell_length_a 10.2354
_cell_length_b 5.8585
_cell_length_c 8.6761
_cell_angle_alpha 90.00
_cell_angle_beta 91.25
_cell_angle_gamma 90.00
_space_group_name_H-M_alt 'C 1 m 1'
_space_group_IT_number 8
_space_group_name_Hall 'C -2y'
loop_
_atom_site_label
_atom_site_type_symbol
_atom_site_fract_x
_atom_site_fract_y
_atom_site_fract_z
_atom_site_occupancy
Mn1 Mn 0.0000 0.0000 0.0000 1
Mn2 Mn 0.4155 0.2461 0.5027 1
Fe1 Fe 0.1640 0.5000 0.4995 1
Fe2 Fe 0.2484 0.2501 0.9965 1
Co1 Co 0.1625 0.0000 0.2812 1
Co2 Co 0.4974 0.0000 0.7800 1
O1 O 0.0652 0.2836 0.6380 1
O2 O 0.0876 0.2092 0.1381 1
O3 O 0.1559 0.5000 0.8920 1
O4 O 0.1588 0.0000 0.8857 1
O5 O 0.2441 0.2391 0.3918 1
O6 O 0.3028 0.0000 0.1406 1
O7 O 0.3348 0.5000 0.6064 1
O8 O 0.3361 0.5000 0.1029 1
O9 O 0.3534 0.0000 0.6323 1
O10 O 0.4193 0.2419 0.8908 1
O11 O 0.4909 0.0000 0.3901 1
O12 O 0.4990 0.5000 0.3940 1
```